The following is a DFT calculation (PBE) of Cs2GeO3 after structural relaxation.

Output
DFT formation energy: -2.059 eV/atom
Symmetry: P2_1/c, No. 14
Total energy: -5.259 eV per atom

Cell: 7.061 14.357 17.740 Å, 90.00 107.70 90.00°
Sites, in units of the cell vectors:
Cs  0.002  0.111  0.085
Cs  0.002  0.389  0.585
Cs  0.120  0.619  0.863
Cs  0.120  0.881  0.363
Cs  0.124  0.196  0.306
Cs  0.124  0.304  0.806
Cs  0.277  0.087  0.531
Cs  0.277  0.413  0.031
Cs  0.346  0.009  0.780
Cs  0.346  0.491  0.280
Cs  0.443  0.152  0.993
Cs  0.443  0.348  0.493
Cs  0.557  0.652  0.507
Cs  0.557  0.848  0.007
Cs  0.654  0.509  0.720
Cs  0.654  0.991  0.220
Cs  0.723  0.587  0.969
Cs  0.723  0.913  0.469
Cs  0.876  0.696  0.194
Cs  0.876  0.804  0.694
Cs  0.880  0.119  0.637
Cs  0.880  0.381  0.137
Cs  0.998  0.611  0.415
Cs  0.998  0.889  0.915
Ge  0.167  0.626  0.634
Ge  0.167  0.874  0.134
Ge  0.272  0.653  0.103
Ge  0.272  0.847  0.603
Ge  0.458  0.747  0.282
Ge  0.458  0.753  0.782
Ge  0.542  0.247  0.218
Ge  0.542  0.253  0.718
Ge  0.728  0.153  0.397
Ge  0.728  0.347  0.897
Ge  0.833  0.126  0.866
Ge  0.833  0.374  0.366
O  0.063  0.092  0.858
O  0.063  0.408  0.358
O  0.107  0.565  0.110
O  0.107  0.935  0.610
O  0.125  0.739  0.582
O  0.125  0.761  0.082
O  0.281  0.550  0.583
O  0.281  0.950  0.083
O  0.294  0.227  0.667
O  0.294  0.273  0.167
O  0.310  0.698  0.335
O  0.310  0.802  0.835
O  0.334  0.646  0.735
O  0.334  0.854  0.235
O  0.400  0.637  0.034
O  0.400  0.863  0.534
O  0.461  0.671  0.199
O  0.461  0.829  0.699
O  0.539  0.171  0.301
O  0.539  0.329  0.801
O  0.600  0.137  0.466
O  0.600  0.363  0.966
O  0.666  0.146  0.765
O  0.666  0.354  0.265
O  0.690  0.198  0.165
O  0.690  0.302  0.665
O  0.706  0.727  0.833
O  0.706  0.773  0.333
O  0.719  0.050  0.917
O  0.719  0.450  0.417
O  0.875  0.239  0.918
O  0.875  0.261  0.418
O  0.893  0.065  0.390
O  0.893  0.435  0.890
O  0.937  0.592  0.642
O  0.937  0.908  0.142